[1]
# K3Ho GGA-PBE relaxed
# VASP energy, eV for the cell shown: -11.17
# Formation energy, meV/atom: 582
# Relative energy among the computed polymorphs, meV/atom: 0
# Total magnetization, μB/cell: 0.6
# Theoretical density, kg/m3: 2081
data_K3Ho
_cell_length_a 8.5948
_cell_length_b 8.5948
_cell_length_c 7.0412
_cell_angle_alpha 90.00
_cell_angle_beta 90.00
_cell_angle_gamma 120.00
_space_group_name_H-M_alt 'P 1'
_space_group_IT_number 1
_space_group_name_Hall 'P 1'
loop_
_atom_site_label
_atom_site_type_symbol
_atom_site_fract_x
_atom_site_fract_y
_atom_site_fract_z
K1 K 0.1724 0.3447 0.2500
K2 K 0.1724 0.8276 0.2500
K3 K 0.3447 0.1724 0.7500
K4 K 0.6553 0.8276 0.2500
K5 K 0.8276 0.1724 0.7500
K6 K 0.8276 0.6553 0.7500
Ho1 Ho 0.3333 0.6667 0.7500
Ho2 Ho 0.6667 0.3333 0.2500

[2]
# Mg2BeB2Ir5 GGA-PBE relaxed
# VASP energy, eV for the cell shown: -139.39
# Formation energy, meV/atom: -520
# Total magnetization, μB/cell: 0.0
# Theoretical density, kg/m3: 13819
data_Mg2BeB2Ir5
_cell_length_a 9.2869
_cell_length_b 9.2869
_cell_length_c 2.8989
_cell_angle_alpha 90.00
_cell_angle_beta 90.00
_cell_angle_gamma 90.00
_space_group_name_H-M_alt 'P 1'
_space_group_IT_number 1
_space_group_name_Hall 'P 1'
loop_
_atom_site_label
_atom_site_type_symbol
_atom_site_fract_x
_atom_site_fract_y
_atom_site_fract_z
Mg1 Mg 0.1766 0.3234 0.0000
Mg2 Mg 0.3234 0.8234 0.0000
Mg3 Mg 0.6766 0.1766 0.0000
Mg4 Mg 0.8234 0.6766 0.0000
Be1 Be 0.0000 0.0000 0.0000
Be2 Be 0.5000 0.5000 0.0000
B1 B 0.1302 0.6302 0.0000
B2 B 0.3698 0.1302 0.0000
B3 B 0.6302 0.8698 0.0000
B4 B 0.8698 0.3698 0.0000
Ir1 Ir 0.0000 0.5000 0.5000
Ir2 Ir 0.0682 0.7931 0.5000
Ir3 Ir 0.2069 0.0682 0.5000
Ir4 Ir 0.2931 0.5682 0.5000
Ir5 Ir 0.4318 0.2931 0.5000
Ir6 Ir 0.5000 0.0000 0.5000
Ir7 Ir 0.5682 0.7069 0.5000
Ir8 Ir 0.7069 0.4318 0.5000
Ir9 Ir 0.7931 0.9318 0.5000
Ir10 Ir 0.9318 0.2069 0.5000

[3]
# Ba5Ga2Se8 GGA-PBE relaxed
# VASP energy, eV for the cell shown: -269.34
# Corrected total energy (MP2020 scheme), eV for the cell shown: -284.4
# Formation energy, meV/atom: -1833
# Total magnetization, μB/cell: 0.0
# Theoretical density, kg/m3: 5146
data_Ba5Ga2Se8
_cell_length_a 13.5111
_cell_length_b 13.5111
_cell_length_c 12.4294
_cell_angle_alpha 90.00
_cell_angle_beta 90.00
_cell_angle_gamma 56.03
_space_group_name_H-M_alt 'P 1'
_space_group_IT_number 1
_space_group_name_Hall 'P 1'
loop_
_atom_site_label
_atom_site_type_symbol
_atom_site_fract_x
_atom_site_fract_y
_atom_site_fract_z
Ba1 Ba 0.0048 0.4952 0.7500
Ba2 Ba 0.0615 0.7449 0.9952
Ba3 Ba 0.0970 0.1032 0.3434
Ba4 Ba 0.1032 0.0970 0.6566
Ba5 Ba 0.2449 0.5615 0.4952
Ba6 Ba 0.2551 0.9385 0.9952
Ba7 Ba 0.3968 0.4030 0.1566
Ba8 Ba 0.4030 0.3968 0.8434
Ba9 Ba 0.4385 0.7551 0.4952
Ba10 Ba 0.4952 0.0048 0.2500
Ba11 Ba 0.5048 0.9952 0.7500
Ba12 Ba 0.5615 0.2449 0.5048
Ba13 Ba 0.5970 0.6032 0.1566
Ba14 Ba 0.6032 0.5970 0.8434
Ba15 Ba 0.7449 0.0615 0.0048
Ba16 Ba 0.7551 0.4385 0.5048
Ba17 Ba 0.8968 0.9030 0.3434
Ba18 Ba 0.9030 0.8968 0.6566
Ba19 Ba 0.9385 0.2551 0.0048
Ba20 Ba 0.9952 0.5048 0.2500
Ga1 Ga 0.1863 0.8137 0.2699
Ga2 Ga 0.2501 0.2501 0.0000
Ga3 Ga 0.2499 0.2499 0.5000
Ga4 Ga 0.3137 0.6863 0.7699
Ga5 Ga 0.6863 0.3137 0.2301
Ga6 Ga 0.7499 0.7499 0.0000
Ga7 Ga 0.7501 0.7501 0.5000
Ga8 Ga 0.8137 0.1863 0.7301
Se1 Se 0.0239 0.9761 0.1519
Se2 Se 0.0362 0.3380 0.5018
Se3 Se 0.1461 0.8539 0.4678
Se4 Se 0.1522 0.6623 0.7425
Se5 Se 0.1620 0.4638 0.9982
Se6 Se 0.1623 0.6522 0.2425
Se7 Se 0.1858 0.1872 0.1515
Se8 Se 0.1872 0.1858 0.8485
Se9 Se 0.3128 0.3142 0.3485
Se10 Se 0.3142 0.3128 0.6515
Se11 Se 0.3380 0.0362 0.4982
Se12 Se 0.3377 0.8478 0.7425
Se13 Se 0.3478 0.8377 0.2425
Se14 Se 0.3539 0.6461 0.9678
Se15 Se 0.4638 0.1620 0.0018
Se16 Se 0.4761 0.5239 0.6519
Se17 Se 0.5239 0.4761 0.3481
Se18 Se 0.5362 0.8380 0.9982
Se19 Se 0.6461 0.3539 0.0322
Se20 Se 0.6522 0.1623 0.7575
Se21 Se 0.6623 0.1522 0.2575
Se22 Se 0.6620 0.9638 0.5018
Se23 Se 0.6858 0.6872 0.3485
Se24 Se 0.6872 0.6858 0.6515
Se25 Se 0.8128 0.8142 0.1515
Se26 Se 0.8142 0.8128 0.8485
Se27 Se 0.8377 0.3478 0.7575
Se28 Se 0.8380 0.5362 0.0018
Se29 Se 0.8478 0.3377 0.2575
Se30 Se 0.8539 0.1461 0.5322
Se31 Se 0.9638 0.6620 0.4982
Se32 Se 0.9761 0.0239 0.8481

[4]
# BeBr2 GGA-PBE relaxed
# VASP energy, eV for the cell shown: -20.29
# Corrected total energy (MP2020 scheme), eV for the cell shown: -22.4
# Formation energy, meV/atom: -1399
# Theoretical density, kg/m3: 2756
data_BeBr2
_cell_length_a 7.1778
_cell_length_b 7.1778
_cell_length_c 7.1778
_cell_angle_alpha 128.38
_cell_angle_beta 71.46
_cell_angle_gamma 134.19
_space_group_name_H-M_alt 'P 1'
_space_group_IT_number 1
_space_group_name_Hall 'P 1'
loop_
_atom_site_label
_atom_site_type_symbol
_atom_site_fract_x
_atom_site_fract_y
_atom_site_fract_z
Be1 Be 0.2500 0.2500 0.0000
Be2 Be 0.7500 0.7500 0.0000
Br1 Br 0.1032 0.1923 0.2956
Br2 Br 0.3968 0.6923 0.0891
Br3 Br 0.6032 0.3077 0.9109
Br4 Br 0.8968 0.8077 0.7044

[5]
# Cu4H6SO10 GGA-PBE relaxed
# VASP energy, eV for the cell shown: -436.26
# Corrected total energy (MP2020 scheme), eV for the cell shown: -463.7
# Formation energy, meV/atom: -1217
# Total magnetization, μB/cell: 16.0
# Theoretical density, kg/m3: 3791
data_Cu4H6SO10
_cell_length_a 6.0887
_cell_length_b 10.0615
_cell_length_c 13.3934
_cell_angle_alpha 90.00
_cell_angle_beta 105.05
_cell_angle_gamma 90.00
_space_group_name_H-M_alt 'P 1'
_space_group_IT_number 1
_space_group_name_Hall 'P 1'
loop_
_atom_site_label
_atom_site_type_symbol
_atom_site_fract_x
_atom_site_fract_y
_atom_site_fract_z
Cu1 Cu 0.0193 0.0055 0.2936
Cu2 Cu 0.0193 0.4945 0.7936
Cu3 Cu 0.1784 0.2382 0.1203
Cu4 Cu 0.1784 0.2618 0.6203
Cu5 Cu 0.3231 0.7365 0.3763
Cu6 Cu 0.3231 0.7635 0.8763
Cu7 Cu 0.4765 0.5110 0.1984
Cu8 Cu 0.4765 0.9890 0.6984
Cu9 Cu 0.5235 0.0110 0.3016
Cu10 Cu 0.5235 0.4890 0.8016
Cu11 Cu 0.6769 0.2365 0.1237
Cu12 Cu 0.6769 0.2635 0.6237
Cu13 Cu 0.8216 0.7382 0.3797
Cu14 Cu 0.8216 0.7618 0.8797
Cu15 Cu 0.9807 0.5055 0.2064
Cu16 Cu 0.9807 0.9945 0.7064
H1 H 0.0750 0.5465 0.3918
H2 H 0.0750 0.9535 0.8918
H3 H 0.1337 0.6118 0.9772
H4 H 0.1337 0.8882 0.4772
H5 H 0.2842 0.1889 0.3414
H6 H 0.2842 0.3111 0.8414
H7 H 0.3287 0.0993 0.8276
H8 H 0.3287 0.4007 0.3276
H9 H 0.3709 0.1260 0.5063
H10 H 0.3709 0.3740 0.0063
H11 H 0.4111 0.0419 0.1080
H12 H 0.4111 0.4581 0.6080
H13 H 0.5889 0.5419 0.3920
H14 H 0.5889 0.9581 0.8920
H15 H 0.6291 0.6260 0.9937
H16 H 0.6291 0.8740 0.4937
H17 H 0.6713 0.5993 0.6724
H18 H 0.6713 0.9007 0.1724
H19 H 0.7158 0.6889 0.1586
H20 H 0.7158 0.8111 0.6586
H21 H 0.8663 0.1118 0.5228
H22 H 0.8663 0.3882 0.0228
H23 H 0.9250 0.0465 0.1082
H24 H 0.9250 0.4535 0.6082
S1 S 0.1869 0.6958 0.6118
S2 S 0.1869 0.8042 0.1118
S3 S 0.8131 0.1958 0.8882
S4 S 0.8131 0.3042 0.3882
O1 O 0.0453 0.1504 0.9434
O2 O 0.0453 0.3496 0.4434
O3 O 0.0494 0.6155 0.3381
O4 O 0.0494 0.8845 0.8381
O5 O 0.0885 0.6368 0.9033
O6 O 0.0885 0.8632 0.4033
O7 O 0.1941 0.6545 0.1117
O8 O 0.1941 0.8455 0.6117
O9 O 0.2416 0.6492 0.7211
O10 O 0.2416 0.8508 0.2211
O11 O 0.2652 0.0921 0.7529
O12 O 0.2652 0.4079 0.2529
O13 O 0.3023 0.0957 0.3615
O14 O 0.3023 0.4043 0.8615
O15 O 0.3601 0.6416 0.5614
O16 O 0.3601 0.8584 0.0614
O17 O 0.4080 0.1423 0.5820
O18 O 0.4080 0.3577 0.0820
O19 O 0.4437 0.1157 0.1582
O20 O 0.4437 0.3843 0.6582
O21 O 0.5563 0.6157 0.3418
O22 O 0.5563 0.8843 0.8418
O23 O 0.5920 0.6423 0.9180
O24 O 0.5920 0.8577 0.4180
O25 O 0.6399 0.1416 0.9386
O26 O 0.6399 0.3584 0.4386
O27 O 0.6977 0.5957 0.1385
O28 O 0.6977 0.9043 0.6385
O29 O 0.7348 0.5921 0.7471
O30 O 0.7348 0.9079 0.2471
O31 O 0.7584 0.1492 0.7789
O32 O 0.7584 0.3508 0.2789
O33 O 0.8059 0.1545 0.3883
O34 O 0.8059 0.3455 0.8883
O35 O 0.9115 0.1368 0.5967
O36 O 0.9115 0.3632 0.0967
O37 O 0.9506 0.1155 0.1619
O38 O 0.9506 0.3845 0.6619
O39 O 0.9547 0.6504 0.5566
O40 O 0.9547 0.8496 0.0566

[6]
# TeO2 GGA-PBE relaxed
# VASP energy, eV for the cell shown: -30.95
# Corrected total energy (MP2020 scheme), eV for the cell shown: -33.7
# Formation energy, meV/atom: -1270
# Total magnetization, μB/cell: 0.0
# Theoretical density, kg/m3: 5965
data_TeO2
_cell_length_a 5.0979
_cell_length_b 5.0979
_cell_length_c 3.4189
_cell_angle_alpha 90.00
_cell_angle_beta 90.00
_cell_angle_gamma 90.00
_space_group_name_H-M_alt 'P 1'
_space_group_IT_number 1
_space_group_name_Hall 'P 1'
loop_
_atom_site_label
_atom_site_type_symbol
_atom_site_fract_x
_atom_site_fract_y
_atom_site_fract_z
Te1 Te 0.0000 0.0000 0.0000
Te2 Te 0.5000 0.5000 0.5000
O1 O 0.1976 0.1976 0.5000
O2 O 0.3024 0.6976 0.0000
O3 O 0.6976 0.3024 0.0000
O4 O 0.8024 0.8024 0.5000